Computed, not measured: crystalline LiFe2Rh3O8 at its relaxed geometry at the GGA+U level of DFT.

Calculated values
* ΔH_f (0 K): -1.437 eV/atom

Cell: 6.1384 6.1384 14.4963 Å, 90.00 90.00 120.00°
Space group R3m (No. 160, hexagonal axes)
Inequivalent atoms, fractional coordinates:
Li: 0.0000 0.0000 0.0000 [3 per cell]
Fe: 0.0000 0.0000 0.3755 [3 per cell]
Fe: 0.0000 0.0000 0.7567 [3 per cell]
Rh: 0.0045 0.5023 0.8785 [9 per cell]
O: 0.0000 0.0000 0.1404 [3 per cell]
O: 0.0000 0.0000 0.6205 [3 per cell]
O: 0.0175 0.5087 0.1292 [9 per cell]
O: 0.1818 0.3636 0.9581 [9 per cell]


Computed, not measured: crystalline Li2Ti2V5O12 at its relaxed geometry at the GGA+U level of DFT.

Calculated values
* ΔH_f (0 K): -2.678 eV/atom

Cell: 5.137 9.127 9.920 Å, 90.00 101.26 90.00°
Space group P2_1 (No. 4)
Inequivalent atoms, fractional coordinates:
Li: 0.011 0.000 0.236 [2 per cell]
Li: 0.256 0.991 0.001 [2 per cell]
Ti: 0.272 0.161 0.506 [2 per cell]
Ti: 0.281 0.664 0.012 [2 per cell]
V: 0.009 0.149 0.758 [2 per cell]
V: 0.239 0.832 0.509 [2 per cell]
V: 0.247 0.338 0.013 [2 per cell]
V: 0.247 0.483 0.506 [2 per cell]
V: 0.497 0.157 0.242 [2 per cell]
O: 0.099 0.806 0.117 [2 per cell]
O: 0.113 0.306 0.619 [2 per cell]
O: 0.123 0.510 0.115 [2 per cell]
O: 0.127 0.007 0.617 [2 per cell]
O: 0.129 0.655 0.620 [2 per cell]
O: 0.145 0.159 0.122 [2 per cell]
O: 0.352 0.511 0.889 [2 per cell]
O: 0.360 0.007 0.384 [2 per cell]
O: 0.366 0.661 0.393 [2 per cell]
O: 0.373 0.172 0.889 [2 per cell]
O: 0.386 0.309 0.390 [2 per cell]
O: 0.386 0.807 0.886 [2 per cell]


- Among the records above, which one has the highest ΔH_f (0 K)?
  LiFe2Rh3O8